# 1
## Nd2Fe20Mo4N (PBE)

Data for a relaxed structure of Nd2Fe20Mo4N.

Output
As for the formation energy: -0.032 eV per atom. The crystal system is monoclinic. The calculated total energy is -462.3 eV per cell. The density is 8.35 g/cm3.

Cell: 12.2129 4.8002 12.2342 Å, 90.00 90.02 90.00°
Last column: nearest neighbours and their distance in Å.
Space group C2/m (No. 12)
Unique sites:
Nd: 0.0000 0.0000 0.0000 [2 per cell]  2 N 2.40
Nd: 0.0000 0.5000 0.5000 [2 per cell]  18 Fe 3.08-3.28, 2 Mo 3.11
Fe: 0.0000 0.2495 0.2528 [8 per cell]  8 Fe 2.40-2.66, 2 Mo 2.64-2.65
Fe: 0.1103 0.5000 0.8891 [4 per cell]  1 N 1.91
Fe: 0.1108 0.5000 0.1121 [4 per cell]  1 N 1.93
Fe: 0.1124 0.0000 0.3888 [4 per cell]  6 Fe 2.47-2.68, 2 Mo 2.67-2.69
Fe: 0.1153 0.0000 0.6148 [4 per cell]  6 Fe 2.46-2.63, 2 Mo 2.65
Fe: 0.1805 0.0000 0.8196 [4 per cell]  9 Fe 2.41-2.69
Fe: 0.1803 0.5000 0.3199 [4 per cell]  9 Fe 2.41-2.68
Fe: 0.2500 0.2500 0.0000 [4 per cell]  8 Fe 2.40-2.65, 2 Mo 2.65
Fe: 0.2500 0.2500 0.5000 [4 per cell]  8 Fe 2.40-2.65, 2 Mo 2.65
Mo: 0.1795 0.0000 0.1797 [4 per cell]  1 Mo 2.43, 8 Fe 2.65-2.70
Mo: 0.1799 0.5000 0.6797 [4 per cell]  1 Mo 2.43, 8 Fe 2.64-2.70
N: 0.0000 0.5000 0.0000 [2 per cell]  4 Fe 1.91-1.93

=====

# 2
## CuCClO (PBE)

Data for a relaxed structure of CuCClO.

Output
As for the formation energy: -0.734 eV per atom. The crystal system is orthorhombic. The calculated total energy is -44.7 eV per cell. The density is 2.72 g/cm3.

Cell: 3.6623 8.3834 5.0477 Å, 90.00 90.00 90.00°
Last column: nearest neighbours and their distance in Å.
Space group Pmn2_1 (No. 31)
Unique sites:
Cu: 0.0000 0.1424 0.0000 [2 per cell]  1 C 1.80
C: 0.0000 0.3201 0.2017 [2 per cell]  1 O 1.15
Cl: 0.0000 0.8885 0.2057 [2 per cell]  3 Cu 2.37
O: 0.0000 0.4348 0.3274 [2 per cell]  1 C 1.15

=====

# 3
## AgAuCl4 (PBE)

Data for a relaxed structure of AgAuCl4.

Output
As for the formation energy: -0.776 eV per atom. The crystal system is monoclinic. The calculated total energy is -62.8 eV per cell. The density is 4.33 g/cm3.

Cell: 13.2312 4.3890 13.2070 Å, 90.00 116.75 90.00°
Last column: nearest neighbours and their distance in Å.
Space group C2/c (No. 15)
Unique sites:
Ag: 0.0000 0.0083 0.2500 [4 per cell]  4 Cl 2.68-2.75
Au: 0.0000 0.5000 0.0000 [4 per cell]  4 Cl 2.33
Cl: 0.1107 0.4427 0.9052 [8 per cell]  1 Au 2.33
Cl: 0.1237 0.1878 0.1465 [8 per cell]  1 Au 2.33

=====

# 4
## Dy3Rh2 (PBE)

Data for a relaxed structure of Dy3Rh2.

Output
As for the formation energy: -0.767 eV per atom. The crystal system is tetragonal. The calculated total energy is -906.7 eV per cell. The density is 10.12 g/cm3.

Cell: 11.2303 11.2303 25.2470 Å, 90.00 90.00 90.00°
Last column: nearest neighbours and their distance in Å.
Space group I4/mcm (No. 140)
Unique sites:
Dy: 0.0000 0.5000 0.1119 [8 per cell]  4 Rh 2.85-3.12
Dy: 0.0000 0.5000 0.2500 [4 per cell]  4 Rh 2.90
Dy: 0.0758 0.2034 0.0713 [32 per cell]  4 Rh 2.89-3.03
Dy: 0.0799 0.2103 0.3066 [32 per cell]  5 Rh 2.76-3.05
Dy: 0.1504 0.3496 0.5000 [8 per cell]  4 Rh 2.72-2.84
Rh: 0.0000 0.0000 0.0000 [4 per cell]  8 Dy 3.03, 2 Rh 3.38
Rh: 0.0000 0.0000 0.1338 [8 per cell]  8 Dy 2.90-2.94, 1 Rh 2.93
Rh: 0.0000 0.0000 0.2500 [4 per cell]  8 Dy 2.90, 2 Rh 2.93
Rh: 0.0967 0.4033 0.0000 [8 per cell]  6 Dy 2.84-2.89, 1 Rh 3.07
Rh: 0.1542 0.3458 0.1883 [16 per cell]  6 Dy 2.90-3.12
Rh: 0.1790 0.3210 0.3939 [16 per cell]  6 Dy 2.72-2.90

=====

# 5
## Tl3AsS3 (PBE)

Data for a relaxed structure of Tl3AsS3.

Output
As for the formation energy: -0.525 eV per atom. The calculation puts the polymorph energy (0 for the lowest one) at 10 meV/atom. The crystal system is trigonal. The calculated total energy is -79.0 eV per cell. The density is 6.38 g/cm3. The piezoelectric modulus e_max is 0.8 C/m².

Cell: 9.8687 9.8687 7.2625 Å, 90.00 90.00 120.00°
Last column: nearest neighbours and their distance in Å.
Space group R3m (No. 160, hexagonal axes)
Unique sites:
Tl: 0.0684 0.5342 0.0000 [9 per cell]  3 S 3.06-3.07
As: 0.0000 0.0000 0.8913 [3 per cell]  3 S 2.28
S: 0.0923 0.5461 0.4223 [9 per cell]  1 As 2.28

=====

# 6
## NaH4CNO2 (PBE)

Data for a relaxed structure of NaH4CNO2.

Output
As for the formation energy: -0.895 eV per atom. The calculation puts the polymorph energy (0 for the lowest one) at 0 meV/atom. The crystal system is monoclinic. The calculated total energy is -196.1 eV per cell. The density is 1.36 g/cm3.

Cell: 6.0373 10.6197 6.6434 Å, 90.00 102.33 90.00°
Last column: nearest neighbours and their distance in Å.
Space group P2_1/c (No. 14)
Unique sites:
Na: 0.0020 0.1718 0.4350 [4 per cell]  4 O 2.39-2.46, 1 N 2.46
H: 0.1767 0.0491 0.8183 [4 per cell]  1 O 0.98
H: 0.2836 0.6168 0.7806 [4 per cell]  1 O 1.00
H: 0.3548 0.0063 0.6951 [4 per cell]  1 O 0.99
H: 0.3962 0.7455 0.8612 [4 per cell]  1 O 0.98
C: 0.3230 0.0653 0.2010 [4 per cell]  1 N 1.18
N: 0.2335 0.1563 0.1184 [4 per cell]  1 C 1.18
O: 0.1905 0.0204 0.6819 [4 per cell]  2 H 0.98-0.99
O: 0.2492 0.7033 0.8227 [4 per cell]  2 H 0.98-1.00